Li3NbNi4O8: relaxed, PBE with a Hubbard U. Values from VASP.

Quantum ESPRESSO input file:
```
&SYSTEM
  ibrav = 0, nat = 16, ntyp = 4
/
ATOMIC_SPECIES
Ni 58.69 Ni.upf
Li 6.94 Li.upf
O 16.00 O.upf
Nb 92.91 Nb.upf
CELL_PARAMETERS angstrom
-5.0398 3.0681 -0.9000
-0.2950 3.8617 -4.5405
1.5722 -4.2639 -3.8804
ATOMIC_POSITIONS crystal
Ni 0.5000 0.5000 0.5000
Li 0.5000 0.0000 0.5000
O 0.9834 0.2499 0.7335
Li 0.0000 0.5000 0.0000
O 0.5013 0.2604 0.2408
O 0.5001 0.7415 0.2386
Ni 0.0000 0.0000 0.0000
Li 0.5000 0.0000 0.0000
O 0.0199 0.7385 0.7614
O 0.4999 0.2585 0.7614
Ni 0.0000 0.0000 0.5000
Ni 0.0000 0.5000 0.5000
O 0.0166 0.7501 0.2665
Nb 0.5000 0.5000 0.0000
O 0.4987 0.7396 0.7592
O 0.9801 0.2615 0.2386
```

! Mn2FeO4 (PBE with a Hubbard U, relaxed); values from VASP
&SYSTEM
  ibrav = 0, nat = 14, ntyp = 3
/
ATOMIC_SPECIES
O 16.00 O.upf
Fe 55.84 Fe.upf
Mn 54.94 Mn.upf
CELL_PARAMETERS angstrom
-5.2118 2.8397 -0.7294
-2.8594 -4.7174 2.0650
-3.6608 0.7061 4.9445
ATOMIC_POSITIONS crystal
O 0.5913 0.3715 0.2569
O 0.6379 0.8483 0.7601
O 0.5975 0.8713 0.2574
Fe 0.9890 0.0016 0.9968
O 0.1549 0.8815 0.2369
O 0.1637 0.3832 0.2336
O 0.1059 0.8578 0.7569
Mn 0.3794 0.1326 0.2397
O 0.1060 0.3853 0.7569
Mn 0.3754 0.6276 0.7448
Mn 0.3793 0.6276 0.2398
O 0.6379 0.3915 0.7601
Fe 0.7594 0.2471 0.5059
Mn 0.8725 0.6229 0.7541
! Relative energy among the computed polymorphs in meV/atom: 38

! V7O13 (PBE with a Hubbard U, relaxed); values from VASP
&SYSTEM
  ibrav = 0, nat = 40, ntyp = 2
/
ATOMIC_SPECIES
O 16.00 O.upf
V 50.94 V.upf
CELL_PARAMETERS angstrom
5.5734 -0.0447 0.0690
2.2572 6.6774 0.7668
-0.1453 0.1256 11.4513
ATOMIC_POSITIONS crystal
O 0.9474 0.9321 0.9100
O 0.5179 0.9894 0.7011
V 0.1996 0.7880 0.0596
O 0.4569 0.8327 0.9455
O 0.0294 0.9343 0.3312
O 0.8050 0.4466 0.0228
O 0.9638 0.0729 0.6704
V 0.7902 0.7176 0.9463
O 0.5048 0.9882 0.2934
O 0.6219 0.1759 0.4913
O 0.5425 0.1678 0.0536
V 0.7998 0.0180 0.2148
O 0.0908 0.2448 0.4555
V 0.7910 0.5130 0.2013
O 0.1882 0.5595 0.9735
O 0.6743 0.2853 0.2497
O 0.2482 0.3945 0.6443
O 0.4109 0.6934 0.1796
O 0.5836 0.2988 0.8187
V 0.6103 0.2270 0.6393
O 0.3300 0.6967 0.7484
O 0.7144 0.4730 0.6066
O 0.8942 0.7572 0.5506
O 0.8585 0.6345 0.7931
V 0.2173 0.9784 0.7945
V 0.2087 0.4917 0.7904
O 0.0486 0.0742 0.0905
V 0.9990 0.4977 0.4986
O 0.2720 0.5465 0.3987
V 0.4071 0.7547 0.3595
V 0.7956 0.2191 0.9403
O 0.7489 0.5972 0.3639
O 0.3715 0.8348 0.5117
V 0.3803 0.2671 0.3463
V 0.2143 0.2873 0.0512
O 0.1514 0.3658 0.2040
O 0.8672 0.7714 0.1202
V 0.6138 0.7329 0.6457
O 0.1277 0.2432 0.8791
V 0.0028 0.9967 0.5046
! Relative energy among the computed polymorphs in meV/atom: 3

| no. | DFT total energy (eV per atom) | spin magnetization (μB/f.u.) |
| --- | --- | --- |
| 1 | -5.841 | 0.00 |
| 2 | -7.328 | 4.00 |
| 3 | -7.831 | 9.00 |